# 1
SrC3O7 | the Materials Project database | PBE-GGA | optimized geometry; uncorrected energy = -7.215 eV per atom; calculated formation energy = -1.8328 eV/atom; V = 17.96 Å³ per atom; energy with MP2020 corrections = -7.6520 eV/atom
1.0
6.3823 0.0000 0.0000
0.0000 17.1068 0.0000
-5.8236 0.0000 7.2371
Sr C O
4 12 28
Direct
0.1469 0.0490 0.2544 Sr
0.1469 0.4510 0.7544 Sr
0.8531 0.5490 0.2456 Sr
0.8531 0.9510 0.7456 Sr
0.0513 0.7221 0.6738 C
0.0513 0.7779 0.1738 C
0.3934 0.2054 0.7533 C
0.3934 0.2946 0.2533 C
0.4957 0.0218 0.0732 C
0.4957 0.4782 0.5732 C
0.5043 0.5218 0.4268 C
0.5043 0.9782 0.9268 C
0.6066 0.7054 0.7467 C
0.6066 0.7946 0.2467 C
0.9487 0.2221 0.8262 C
0.9487 0.2779 0.3262 C
0.0166 0.6722 0.5737 O
0.0166 0.8278 0.0737 O
0.0828 0.7273 0.2713 O
0.0828 0.7727 0.7713 O
0.2736 0.0172 0.0466 O
0.2736 0.4828 0.5466 O
0.2971 0.5579 0.2975 O
0.2971 0.9421 0.7975 O
0.3167 0.1478 0.6644 O
0.3167 0.3522 0.1644 O
0.4019 0.5551 0.9594 O
0.4019 0.9449 0.4594 O
0.4693 0.2366 0.3407 O
0.4693 0.2634 0.8407 O
0.5307 0.7366 0.1593 O
0.5307 0.7634 0.6593 O
0.5981 0.0551 0.5406 O
0.5981 0.4449 0.0406 O
0.6833 0.6478 0.8356 O
0.6833 0.8522 0.3356 O
0.7029 0.0579 0.2025 O
0.7029 0.4421 0.7025 O
0.7264 0.5172 0.4534 O
0.7264 0.9828 0.9534 O
0.9172 0.2273 0.2287 O
0.9172 0.2727 0.7287 O
0.9834 0.1722 0.9263 O
0.9834 0.3278 0.4263 O

=====

# 2
SrC2O4 | the Materials Project database | PBE-GGA | optimized geometry; uncorrected energy = -7.071 eV per atom; calculated formation energy = -1.7584 eV/atom; V = 16.14 Å³ per atom; energy with MP2020 corrections = -7.4639 eV/atom
1.0
6.9054 0.0000 0.0000
0.0000 7.4550 0.0000
0.0000 0.0000 8.7791
Sr C O
4 8 16
Direct
0.0026 0.2391 0.1709 Sr
0.4974 0.7609 0.6709 Sr
0.5026 0.2609 0.8291 Sr
0.9974 0.7391 0.3291 Sr
0.1179 0.5562 0.6933 C
0.2292 0.1373 0.5086 C
0.2708 0.8627 0.0086 C
0.3821 0.4438 0.1933 C
0.6179 0.9438 0.3067 C
0.7292 0.3627 0.4914 C
0.7708 0.6373 0.9914 C
0.8821 0.0562 0.8067 C
0.1225 0.6819 0.5977 O
0.1319 0.0607 0.4071 O
0.1569 0.9198 0.1078 O
0.2497 0.4943 0.7758 O
0.2503 0.5057 0.2758 O
0.3431 0.0802 0.6078 O
0.3681 0.9393 0.9071 O
0.3775 0.3181 0.0977 O
0.6225 0.8181 0.4023 O
0.6319 0.4393 0.5929 O
0.6569 0.5802 0.8922 O
0.7497 0.0057 0.2242 O
0.7503 0.9943 0.7242 O
0.8431 0.4198 0.3922 O
0.8681 0.5607 0.0929 O
0.8775 0.1819 0.9023 O

=====

# 3
SrCO3 | the Materials Project database | PBE-GGA | optimized geometry; uncorrected energy = -7.417 eV per atom; calculated formation energy = -2.6768 eV/atom; V = 14.88 Å³ per atom; energy with MP2020 corrections = -7.8292 eV/atom
1.0
2.6289 1.5178 6.2145
-2.6289 1.5178 6.2145
0.0000 -3.0356 6.2145
Sr C O
2 2 6
Direct
0.0000 0.0000 0.0000 Sr
0.5000 0.5000 0.5000 Sr
0.2500 0.2500 0.2500 C
0.7500 0.7500 0.7500 C
0.0026 0.2500 0.4974 O
0.2500 0.4974 0.0026 O
0.4974 0.0026 0.2500 O
0.5026 0.9974 0.7500 O
0.7500 0.5026 0.9974 O
0.9974 0.7500 0.5026 O

=====

# 4
SrCO3 | the Materials Project database | PBE-GGA | optimized geometry; uncorrected energy = -7.409 eV per atom; calculated formation energy = -2.6683 eV/atom; V = 14.91 Å³ per atom; energy with MP2020 corrections = -7.8207 eV/atom
1.0
2.5874 1.4938 3.2142
-2.5874 1.4938 3.2142
0.0000 -2.9877 3.2142
Sr C O
1 1 3
Direct
0.0000 0.0000 0.0000 Sr
0.5000 0.5000 0.5000 C
0.2482 0.7518 0.5000 O
0.5000 0.2482 0.7518 O
0.7518 0.5000 0.2482 O

=====

# 5
SrC2O4 | the Materials Project database | PBE-GGA | optimized geometry; uncorrected energy = -7.462 eV per atom; calculated formation energy = -2.1488 eV/atom; V = 14.20 Å³ per atom; energy with MP2020 corrections = -7.8543 eV/atom
1.0
5.0410 0.0000 0.0000
0.0000 6.8371 0.0000
0.0000 0.0000 11.5392
Sr C O
4 8 16
Direct
0.0079 0.0055 0.4296 Sr
0.4921 0.9945 0.9296 Sr
0.5079 0.4945 0.5704 Sr
0.9921 0.5055 0.0704 Sr
0.1716 0.3838 0.8054 C
0.1789 0.4202 0.3304 C
0.3211 0.5798 0.8304 C
0.3284 0.6162 0.3054 C
0.6716 0.1162 0.1946 C
0.6789 0.0798 0.6696 C
0.8211 0.9202 0.1696 C
0.8284 0.8838 0.6946 C
0.1068 0.3184 0.2451 O
0.1186 0.2797 0.8951 O
0.1216 0.3473 0.7013 O
0.1371 0.3731 0.4364 O
0.3629 0.6269 0.9364 O
0.3784 0.6527 0.2013 O
0.3814 0.7203 0.3951 O
0.3932 0.6816 0.7451 O
0.6068 0.1816 0.7549 O
0.6186 0.2203 0.1049 O
0.6216 0.1527 0.2987 O
0.6371 0.1269 0.5636 O
0.8629 0.8731 0.0636 O
0.8784 0.8473 0.7987 O
0.8814 0.7797 0.6049 O
0.8932 0.8184 0.2549 O

=====

# 6
SrCO3 | the Materials Project database | PBE-GGA | optimized geometry; uncorrected energy = -7.404 eV per atom; calculated formation energy = -2.6639 eV/atom; V = 14.08 Å³ per atom; energy with MP2020 corrections = -7.8163 eV/atom
1.0
3.5164 -2.5972 0.0000
3.5164 2.5972 0.0000
-3.2566 0.0000 7.7110
Sr C O
2 2 6
Direct
0.0000 0.0000 0.0000 Sr
0.0000 0.0000 0.5000 Sr
0.4656 0.4656 0.7676 C
0.5344 0.5344 0.2324 C
0.1638 0.5972 0.6963 O
0.3740 0.3740 0.0897 O
0.4028 0.8362 0.3037 O
0.5972 0.1638 0.6963 O
0.6260 0.6260 0.9103 O
0.8362 0.4028 0.3037 O

=====

# 7
SrC2O4 | the Materials Project database | PBE-GGA | optimized geometry; uncorrected energy = -7.079 eV per atom; calculated formation energy = -1.7663 eV/atom; V = 17.30 Å³ per atom; energy with MP2020 corrections = -7.4718 eV/atom
1.0
5.9603 0.0000 0.0000
0.0000 8.5330 0.0000
0.0000 0.0000 9.5252
Sr C O
4 8 16
Direct
0.1058 0.0842 0.4320 Sr
0.3942 0.9158 0.9320 Sr
0.6058 0.4158 0.5680 Sr
0.8942 0.5842 0.0680 Sr
0.0410 0.3912 0.2869 C
0.1084 0.2837 0.7852 C
0.3916 0.7163 0.2852 C
0.4590 0.6088 0.7869 C
0.5410 0.1088 0.7131 C
0.6084 0.2163 0.2148 C
0.8916 0.7837 0.7148 C
0.9590 0.8912 0.2131 C
0.0957 0.3741 0.6921 O
0.0997 0.8631 0.1076 O
0.1319 0.2023 0.8839 O
0.2223 0.3055 0.2909 O
0.2777 0.6945 0.7909 O
0.3681 0.7977 0.3839 O
0.4003 0.1369 0.6076 O
0.4043 0.6259 0.1921 O
0.5957 0.1259 0.3079 O
0.5997 0.6369 0.8924 O
0.6319 0.2977 0.1161 O
0.7223 0.1945 0.7091 O
0.7777 0.8055 0.2091 O
0.8681 0.7023 0.6161 O
0.9003 0.3631 0.3924 O
0.9043 0.8741 0.8079 O

=====

# 8
TbCO4 | the Materials Project database | PBE-GGA | optimized geometry; uncorrected energy = -7.683 eV per atom; calculated formation energy = -2.5317 eV/atom; V = 11.49 Å³ per atom; energy with MP2020 corrections = -8.1409 eV/atom
1.0
12.1471 0.0000 0.0000
-6.0735 10.5197 0.0000
0.0000 0.0000 9.7130
Tb C O
18 18 72
Direct
0.1026 0.5457 0.2439 Tb
0.1026 0.5457 0.7561 Tb
0.1122 0.8815 0.2602 Tb
0.1122 0.8815 0.7398 Tb
0.1185 0.2307 0.2602 Tb
0.1185 0.2307 0.7398 Tb
0.4369 0.2215 0.2432 Tb
0.4369 0.2215 0.7568 Tb
0.4431 0.8974 0.2439 Tb
0.4431 0.8974 0.7561 Tb
0.4543 0.5569 0.2439 Tb
0.4543 0.5569 0.7561 Tb
0.7693 0.8878 0.2602 Tb
0.7693 0.8878 0.7398 Tb
0.7785 0.2154 0.2432 Tb
0.7785 0.2154 0.7568 Tb
0.7846 0.5631 0.2432 Tb
0.7846 0.5631 0.7568 Tb
0.1632 0.4691 0.5000 C
0.2006 0.1801 0.0000 C
0.2038 0.1115 0.5000 C
0.2258 0.4616 0.0000 C
0.2358 0.7742 0.0000 C
0.3059 0.8368 0.5000 C
0.4904 0.1382 0.5000 C
0.5309 0.6941 0.5000 C
0.5384 0.7642 0.0000 C
0.5522 0.1284 0.0000 C
0.5762 0.4478 0.0000 C
0.6478 0.5096 0.5000 C
0.8199 0.0205 0.0000 C
0.8618 0.3522 0.5000 C
0.8716 0.4238 0.0000 C
0.8885 0.0923 0.5000 C
0.9077 0.7962 0.5000 C
0.9795 0.7994 0.0000 C
0.0000 0.0000 0.2423 O
0.0000 0.0000 0.7577 O
0.0012 0.6592 0.3083 O
0.0012 0.6592 0.6917 O
0.0309 0.8590 0.5000 O
0.0875 0.9049 0.0000 O
0.0951 0.1826 0.0000 O
0.1410 0.1719 0.5000 O
0.1584 0.5732 0.5000 O
0.1602 0.5192 0.0000 O
0.1631 0.4188 0.3831 O
0.1631 0.4188 0.6169 O
0.1761 0.7422 0.1165 O
0.1761 0.7422 0.8835 O
0.2339 0.0823 0.3832 O
0.2339 0.0823 0.6168 O
0.2513 0.1804 0.1166 O
0.2513 0.1804 0.8834 O
0.2557 0.8369 0.3831 O
0.2557 0.8369 0.6169 O
0.2578 0.4339 0.1165 O
0.2578 0.4339 0.8835 O
0.3253 0.0022 0.1902 O
0.3253 0.0022 0.8098 O
0.3333 0.6667 0.2554 O
0.3333 0.6667 0.7446 O
0.3408 0.3420 0.3083 O
0.3408 0.3420 0.6917 O
0.3590 0.8398 0.0000 O
0.4148 0.8416 0.5000 O
0.4268 0.5852 0.5000 O
0.4808 0.6410 0.0000 O
0.4860 0.2431 0.5000 O
0.4908 0.0889 0.3824 O
0.4908 0.0889 0.6176 O
0.4961 0.1950 0.0000 O
0.5158 0.4206 0.1161 O
0.5158 0.4206 0.8839 O
0.5661 0.8239 0.1165 O
0.5661 0.8239 0.8835 O
0.5794 0.0952 0.1161 O
0.5794 0.0952 0.8839 O
0.5812 0.7443 0.3831 O
0.5812 0.7443 0.6169 O
0.5982 0.5092 0.3824 O
0.5982 0.5092 0.6176 O
0.6580 0.9988 0.3083 O
0.6580 0.9988 0.6917 O
0.6667 0.3333 0.2529 O
0.6667 0.3333 0.7471 O
0.6769 0.6747 0.1902 O
0.6769 0.6747 0.8098 O
0.6989 0.5039 0.0000 O
0.7569 0.2429 0.5000 O
0.7571 0.5140 0.5000 O
0.8050 0.3011 0.0000 O
0.8174 0.9125 0.0000 O
0.8196 0.0709 0.1166 O
0.8196 0.0709 0.8834 O
0.8281 0.9691 0.5000 O
0.8483 0.7661 0.3832 O
0.8483 0.7661 0.6168 O
0.9048 0.4842 0.1161 O
0.9048 0.4842 0.8839 O
0.9111 0.4018 0.3824 O
0.9111 0.4018 0.6176 O
0.9177 0.1517 0.3832 O
0.9177 0.1517 0.6168 O
0.9291 0.7487 0.1166 O
0.9291 0.7487 0.8834 O
0.9978 0.3231 0.1902 O
0.9978 0.3231 0.8098 O

=====

# 9
TbCO4 | the Materials Project database | PBE-GGA | optimized geometry; uncorrected energy = -7.635 eV per atom; calculated formation energy = -2.4834 eV/atom; V = 12.83 Å³ per atom; energy with MP2020 corrections = -8.0925 eV/atom
1.0
4.8940 0.0000 0.0000
0.0000 7.1694 0.0000
0.0000 0.0000 8.7782
Tb C O
4 4 16
Direct
0.0280 0.1219 0.1600 Tb
0.4720 0.8781 0.6600 Tb
0.5280 0.3781 0.8400 Tb
0.9720 0.6219 0.3400 Tb
0.0072 0.0485 0.8249 C
0.4928 0.9515 0.3249 C
0.5072 0.4515 0.1751 C
0.9928 0.5485 0.6751 C
0.0363 0.8080 0.1401 O
0.0418 0.4505 0.7935 O
0.1814 0.6170 0.5879 O
0.2373 0.9240 0.3657 O
0.2627 0.0760 0.8657 O
0.3186 0.3830 0.0879 O
0.4582 0.5495 0.2935 O
0.4637 0.1920 0.6401 O
0.5363 0.6920 0.8599 O
0.5418 0.0495 0.2065 O
0.6814 0.8830 0.4121 O
0.7373 0.5760 0.6343 O
0.7627 0.4240 0.1343 O
0.8186 0.1170 0.9121 O
0.9582 0.9505 0.7065 O
0.9637 0.3080 0.3599 O

=====

# 10
Tl4CO5 | the Materials Project database | PBE-GGA | optimized geometry; uncorrected energy = -5.092 eV per atom; calculated formation energy = -1.0939 eV/atom; V = 28.49 Å³ per atom; energy with MP2020 corrections = -5.4358 eV/atom
1.0
5.4741 -6.0611 0.0000
5.4741 6.0611 0.0000
0.0000 0.0000 8.5866
Tl C O
8 2 10
Direct
0.1772 0.3168 0.1193 Tl
0.2198 0.7802 0.5000 Tl
0.2415 0.7585 0.8738 Tl
0.3168 0.1772 0.6193 Tl
0.6832 0.8228 0.1193 Tl
0.7585 0.2415 0.3738 Tl
0.7802 0.2198 0.0000 Tl
0.8228 0.6832 0.6193 Tl
0.0551 0.9449 0.2788 C
0.9449 0.0551 0.7788 C
0.0053 0.2007 0.8289 O
0.0265 0.9735 0.6832 O
0.0983 0.6080 0.6563 O
0.2007 0.0053 0.3289 O
0.3920 0.9017 0.6563 O
0.6080 0.0983 0.1563 O
0.7993 0.9947 0.8289 O
0.9017 0.3920 0.1563 O
0.9735 0.0265 0.1832 O
0.9947 0.7993 0.3289 O

=====

# 11
TlC2O2 | the Materials Project database | PBE-GGA | optimized geometry; uncorrected energy = -6.754 eV per atom; calculated formation energy = -0.8854 eV/atom; V = 17.94 Å³ per atom; energy with MP2020 corrections = -7.0286 eV/atom
1.0
6.4044 0.0000 0.0000
0.0000 7.5204 0.0000
0.0000 0.0000 14.8953
Tl C O
8 16 16
Direct
0.0386 0.1125 0.3456 Tl
0.0940 0.5999 0.4599 Tl
0.4060 0.4001 0.9599 Tl
0.4614 0.8875 0.8456 Tl
0.5386 0.3875 0.6544 Tl
0.5940 0.9001 0.5401 Tl
0.9060 0.0999 0.0401 Tl
0.9614 0.6125 0.1544 Tl
0.0013 0.6246 0.7691 C
0.0388 0.1153 0.6507 C
0.0386 0.6308 0.6732 C
0.0940 0.1074 0.5562 C
0.4060 0.8926 0.0562 C
0.4614 0.3692 0.1732 C
0.4612 0.8847 0.1507 C
0.4987 0.3754 0.2691 C
0.5013 0.8754 0.2309 C
0.5388 0.3847 0.3493 C
0.5386 0.8692 0.3268 C
0.5940 0.3926 0.4438 C
0.9060 0.6074 0.9438 C
0.9614 0.1308 0.8268 C
0.9612 0.6153 0.8493 C
0.9987 0.1246 0.7309 C
0.0190 0.9778 0.5110 O
0.1215 0.1113 0.8769 O
0.2105 0.2294 0.5255 O
0.2246 0.6531 0.6458 O
0.2754 0.3469 0.1458 O
0.2895 0.7706 0.0255 O
0.3785 0.8887 0.3769 O
0.4810 0.0222 0.0110 O
0.5190 0.5222 0.4890 O
0.6215 0.3887 0.1231 O
0.7105 0.2706 0.4745 O
0.7246 0.8469 0.3542 O
0.7754 0.1531 0.8542 O
0.7895 0.7294 0.9745 O
0.8785 0.6113 0.6231 O
0.9810 0.4778 0.9890 O

=====

Number 1: spin magnetization 0.000 μB/atom. Number 2: spin magnetization 0.286 μB/atom. Number 3: spin magnetization 0.000 μB/atom. Number 4: spin magnetization 0.000 μB/atom. Number 5: spin magnetization 0.000 μB/atom. Number 6: spin magnetization 0.000 μB/atom. Number 7: spin magnetization 0.000 μB/atom. Number 8: spin magnetization 0.167 μB/atom. Number 9: spin magnetization 0.167 μB/atom. Number 10: spin magnetization 0.000 μB/atom. Number 11: spin magnetization 0.000 μB/atom.